# Na4Ta3InSi4P2O24

A relaxed Na4Ta3InSi4P2O24 crystal (GGA-PBE, the Materials Project).

```
Na4Ta3InSi4P2O24
1.0
-2.1253 -8.7193 0.0258
6.7734 2.9629 -5.1190
14.4974 -3.5176 17.1341
O Si Na Ta P In
72 12 12 9 6 3
Cartesian
0.0539 -5.7532 -0.4005
11.3508 -1.8574 7.2581
17.5148 -3.6206 10.3465
19.4285 -1.7312 10.5943
5.7953 -6.5815 6.5146
6.5409 -1.0127 1.9678
7.0365 -2.3590 6.0136
7.8438 -2.9971 3.6399
11.5278 -6.1995 8.4114
2.2133 -5.7579 -2.2551
7.5499 -10.1216 9.3022
15.6665 -5.5157 11.4216
2.0543 -1.4473 0.7805
10.5357 -8.2544 11.9584
9.7159 -6.3070 6.3455
12.2564 -7.0282 5.9457
17.6525 -5.9607 13.1098
11.5959 0.8805 2.8840
8.0917 -5.7556 1.3276
19.1737 -3.6156 12.4160
5.1751 0.3662 -2.1326
11.3572 -3.7536 3.8385
1.4523 -5.4865 1.8843
3.9301 -7.3016 2.6154
14.0076 -9.6173 13.9991
1.3990 -3.2892 -1.0110
15.4975 -2.7306 12.1524
4.8047 -6.4603 -2.5610
12.4611 -3.9801 12.9745
14.8752 -6.5826 6.9466
15.0738 -9.0145 9.6699
9.9445 -3.0470 1.7543
10.9420 -5.5954 2.0672
5.7295 -2.1003 -3.0992
8.2752 -3.6853 9.9545
5.6857 -5.2581 1.5367
15.3994 -4.7843 8.7616
4.1455 -0.3128 2.3631
10.0408 -10.0439 13.7647
13.5488 -3.8187 10.5137
7.9312 -8.2161 7.4923
3.5117 -6.8180 -0.1487
-0.2365 -7.5800 1.4763
10.9866 -3.3035 10.9037
7.5952 -4.7767 5.3644
13.3632 -2.5084 5.4035
6.7764 -5.2695 -0.8139
15.6248 -0.2446 7.6565
9.3735 -2.9862 5.6538
15.3710 -7.3490 13.3252
7.2971 -3.4103 0.8224
3.7207 -9.0656 4.3243
13.3053 -7.2325 15.1032
15.3379 -2.0609 9.3772
3.6838 -1.7226 -1.2618
9.0460 0.6548 -1.6564
8.9487 -6.1229 10.4113
11.6579 -4.4660 6.4633
7.7490 -5.4577 8.2522
7.6472 -7.4867 4.7922
12.7236 -8.4129 10.0727
12.0278 -5.8903 11.2082
17.0925 -7.8152 11.3135
14.4199 -2.8487 14.6282
8.6705 -1.0624 0.1496
16.9590 -3.4297 14.2870
4.1311 -2.8576 5.1346
11.1269 -1.0722 4.6131
9.9792 -8.9336 9.1768
3.5871 -4.5574 3.4441
3.6085 -3.6204 0.5271
9.1921 -0.5848 2.9259
10.4713 0.1141 3.7293
11.2120 -4.0059 2.2387
3.3890 -6.7769 -1.7398
12.2131 -4.3061 11.3917
19.0683 -3.3045 10.8158
0.0764 -5.9616 1.2329
15.7554 -2.4619 13.7586
11.2987 -6.0284 6.8373
16.1419 -5.8710 7.7717
2.7071 -2.6039 -0.2817
8.7139 -9.4426 8.3485
16.4432 -6.6966 12.2963
6.1631 -1.6191 -0.5694
5.5037 -5.9076 3.9258
19.0404 -9.2043 12.0228
13.6988 -6.2925 9.5962
13.4927 -3.2679 7.9730
5.9302 -8.9898 5.5940
12.8459 -7.6795 12.6575
3.4787 0.4906 -0.3070
9.1056 -5.6186 3.6588
11.2107 -10.2079 10.9329
7.1631 -0.1388 -3.5439
13.9759 1.1367 3.4667
15.0228 -8.2631 15.0610
15.6234 -3.8114 10.5299
4.0567 -1.0230 -3.1070
7.2371 -10.9371 11.0573
12.4650 -3.0246 14.6467
8.3469 -1.9908 1.8888
6.7572 -6.2498 -2.5688
11.3832 -2.7733 5.5233
7.8113 -6.5515 6.5705
6.9361 -4.9489 0.7303
7.9380 -5.1847 9.7909
3.0165 -3.4331 4.2896
5.6360 -0.0265 2.8159
15.7581 -0.5703 9.1701
7.9310 -3.2701 5.1775
11.8606 1.6907 0.9229
3.4956 -5.4727 1.4367
10.7443 -7.1917 10.0828
```

Values from the calculation:
Its space group is P1. The formation energy is -2.9659 eV per atom.